DFT (GGA-PBE) results for a relaxed Eu2MgTi2Cl2O6 crystal.

The value obtained for the total energy is -8.252 eV/atom. Its energy of formation is -3.085 eV/atom.

It has space group C2/m (No. 12), with a = 12.0396 Å, b = 3.6762 Å, c = 9.3680 Å, α = 90.00°, β = 103.70° and γ = 90.00°. The asymmetric unit holds Eu at (0.2373, 0.0000, 0.2351), Mg at (0.0000, 0.5000, 0.0000), Ti at (0.0799, 0.5000, 0.4049), Cl at (0.1222, 0.0000, 0.9225), O at (0.0730, 0.5000, 0.6235), O at (0.1086, 0.5000, 0.2056) and O at (0.1424, 0.0000, 0.4323).